# 1
A relaxed structure of Ti8Al15Rh7, computed with r2SCAN.

```
Ti8Al15Rh7
1.0
-4.289 4.305 6.073
4.289 -4.305 6.073
4.289 4.305 -6.073
Ti Al Rh
8 15 7
Cartesian
0.000 0.000 0.000 Ti
1.835 1.830 2.476 Ti
6.744 1.830 2.476 Ti
0.000 0.000 5.169 Ti
-2.201 4.305 3.990 Ti
2.201 4.305 3.990 Ti
-2.454 2.475 8.549 Ti
2.454 2.475 8.549 Ti
2.669 0.000 0.652 Al
5.909 0.000 0.652 Al
4.289 1.698 -1.689 Al
4.289 -2.205 4.005 Al
0.000 0.000 2.577 Al
4.289 2.219 1.047 Al
1.658 4.305 -1.674 Al
2.631 0.000 4.399 Al
0.000 2.684 0.644 Al
2.198 4.305 1.046 Al
2.092 0.000 7.119 Al
4.289 2.205 4.005 Al
0.000 2.607 4.384 Al
0.000 5.927 0.644 Al
0.000 2.086 7.120 Al
2.144 2.138 -0.511 Rh
6.434 2.138 -0.511 Rh
4.289 0.000 2.533 Rh
0.000 0.000 8.609 Rh
-2.145 2.168 5.562 Rh
2.145 2.168 5.562 Rh
0.000 4.305 2.558 Rh
```

- Space-group type: No. 44
- Crystal system: orthorhombic



# 2
A relaxed structure of Rb3IO, computed with r2SCAN.

```
Rb3IO
1.0
7.901 0.000 0.000
-3.951 6.843 0.000
0.000 0.000 19.714
Rb I O
18 6 6
Cartesian
-1.759 3.547 4.928 Rb
0.000 2.270 1.601 Rb
0.000 2.270 8.256 Rb
-1.984 5.708 1.601 Rb
-1.984 5.708 8.256 Rb
1.966 1.135 11.458 Rb
1.966 1.135 18.113 Rb
1.759 3.547 4.928 Rb
0.000 6.592 4.928 Rb
3.951 0.250 14.785 Rb
2.192 3.296 14.785 Rb
1.984 5.708 1.601 Rb
1.984 5.708 8.256 Rb
5.935 1.135 11.458 Rb
5.935 1.135 18.113 Rb
3.951 4.572 11.458 Rb
3.951 4.572 18.113 Rb
5.709 3.296 14.785 Rb
0.000 0.000 4.928 I
0.000 0.000 14.785 I
0.000 4.562 11.585 I
0.000 4.562 17.986 I
3.951 2.281 1.728 I
3.951 2.281 8.129 I
0.000 0.000 0.000 O
0.000 0.000 9.857 O
0.000 4.562 3.139 O
0.000 4.562 6.718 O
3.951 2.281 12.996 O
3.951 2.281 16.575 O
```

- Space-group type: No. 194
- Crystal system: hexagonal



# 3
A relaxed structure of TlGaBr4, computed with r2SCAN.

```
TlGaBr4
1.0
12.450 0.000 0.000
0.000 11.122 0.000
-4.185 0.000 12.096
Tl Ga Br
8 8 32
Cartesian
1.943 1.520 1.493 Tl
-0.150 4.041 7.541 Tl
-0.409 7.325 11.880 Tl
1.684 9.359 5.832 Tl
6.582 1.763 6.264 Tl
8.675 3.798 0.216 Tl
8.416 7.081 4.555 Tl
6.323 9.602 10.603 Tl
-3.081 1.545 9.534 Ga
-0.989 4.016 3.486 Ga
2.955 6.449 9.418 Ga
5.047 10.235 3.370 Ga
3.219 0.888 8.726 Ga
5.311 4.673 2.678 Ga
9.255 7.107 8.610 Ga
11.347 9.577 2.562 Ga
-3.747 6.947 10.874 Br
-1.655 9.737 4.826 Br
-0.588 6.006 4.668 Br
-2.680 10.678 10.716 Br
0.286 2.337 4.514 Br
-1.806 3.225 10.562 Br
-0.891 7.534 8.449 Br
1.201 9.150 2.401 Br
0.953 0.543 8.274 Br
3.046 5.018 2.226 Br
2.535 6.387 7.113 Br
4.628 10.297 1.065 Br
3.725 0.808 4.366 Br
1.633 4.753 10.414 Br
4.432 8.198 4.326 Br
2.340 8.486 10.374 Br
5.926 2.637 1.722 Br
3.833 2.924 7.770 Br
6.633 6.369 1.682 Br
4.541 10.314 7.730 Br
3.638 0.825 11.031 Br
5.731 4.736 4.983 Br
5.220 6.104 9.870 Br
7.313 10.580 3.822 Br
7.065 1.972 9.695 Br
9.157 3.589 3.647 Br
10.072 7.898 1.534 Br
7.980 8.786 7.582 Br
10.946 0.444 1.380 Br
8.854 5.117 7.428 Br
9.921 1.386 7.270 Br
12.013 4.176 1.222 Br
```

- Space-group type: No. 14
- Crystal system: monoclinic



| no. | raw total energy (eV per atom) | M_tot (μB/atom) | formation energy from the elements (eV per atom) |
| --- | --- | --- | --- |
| 1 | -13.2826 | 0.00 | -0.83 |
| 2 | -15.8296 | 0.00 | -1.36 |
| 3 | -20.6403 | 0.00 | -1.03 |